A relaxed TiSi4N2Cl14 crystal, computed with PBE.

a b c (Å): 12.564 12.879 14.972
angles (deg): 90.00 90.00 90.00
Element x y z (fractional)
Si 0.576 0.432 0.165
Si 0.480 0.222 0.722
Si 0.385 0.362 0.581
Si 0.424 0.932 0.335
Si 0.980 0.278 0.278
Si 0.924 0.568 0.665
Si 0.615 0.862 0.919
Si 0.520 0.722 0.778
Si 0.885 0.138 0.419
Si 0.076 0.068 0.835
Si 0.833 0.771 0.597
Si 0.115 0.638 0.081
Si 0.020 0.778 0.222
Si 0.167 0.271 0.903
Si 0.333 0.729 0.403
Si 0.667 0.229 0.097
Ti 0.766 0.710 0.792
Ti 0.266 0.790 0.208
Ti 0.234 0.210 0.708
Ti 0.734 0.290 0.292
Cl 0.073 0.372 0.355
Cl 0.816 0.999 0.388
Cl 0.474 0.657 0.432
Cl 0.960 0.066 0.739
Cl 0.184 0.499 0.112
Cl 0.883 0.804 0.863
Cl 0.427 0.628 0.855
Cl 0.617 0.196 0.363
Cl 0.264 0.381 0.843
Cl 0.161 0.932 0.829
Cl 0.681 0.807 0.035
Cl 0.732 0.437 0.367
Cl 0.426 0.826 0.712
Cl 0.740 0.276 0.982
Cl 0.909 0.373 0.183
Cl 0.409 0.127 0.817
Cl 0.999 0.569 0.542
Cl 0.768 0.563 0.867
Cl 0.268 0.937 0.133
Cl 0.091 0.873 0.317
Cl 0.236 0.619 0.343
Cl 0.543 0.390 0.553
Cl 0.043 0.110 0.447
Cl 0.040 0.566 0.761
Cl 0.001 0.069 0.958
Cl 0.499 0.931 0.458
Cl 0.501 0.431 0.042
Cl 0.927 0.872 0.145
Cl 0.764 0.119 0.157
Cl 0.573 0.128 0.645
Cl 0.260 0.776 0.518
Cl 0.736 0.881 0.657
Cl 0.839 0.432 0.671
Cl 0.383 0.696 0.137
Cl 0.319 0.307 0.465
Cl 0.819 0.193 0.535
Cl 0.240 0.224 0.018
Cl 0.117 0.304 0.637
Cl 0.957 0.610 0.053
Cl 0.460 0.434 0.261
Cl 0.974 0.843 0.568
Cl 0.526 0.157 0.068
Cl 0.074 0.174 0.212
Cl 0.574 0.326 0.788
Cl 0.591 0.627 0.683
Cl 0.684 0.001 0.888
Cl 0.540 0.934 0.239
Cl 0.316 0.501 0.612
Cl 0.926 0.674 0.288
Cl 0.232 0.063 0.633
Cl 0.026 0.343 0.932
Cl 0.181 0.693 0.965
Cl 0.457 0.890 0.947
Cl 0.661 0.568 0.171
Cl 0.760 0.724 0.482
Cl 0.339 0.068 0.329
N 0.156 0.176 0.823
N 0.344 0.824 0.323
N 0.844 0.676 0.677
N 0.873 0.226 0.333
N 0.127 0.726 0.167
N 0.656 0.324 0.177
N 0.373 0.274 0.667
N 0.627 0.774 0.833


A relaxed Ca3Cu6P8O32 crystal, computed with PBE.

a b c (Å): 4.905 9.197 14.558
angles (deg): 84.80 89.88 89.36
Element x y z (fractional)
O 0.319 0.614 0.858
O 0.422 0.253 0.826
O 0.131 0.496 0.099
O 0.709 0.601 0.404
O 0.940 0.260 0.506
O 0.069 0.742 0.493
O 0.291 0.401 0.596
O 0.567 0.761 0.004
O 0.687 0.993 0.077
O 0.907 0.780 0.854
O 0.314 0.009 0.922
O 0.820 0.871 0.638
O 0.430 0.241 0.996
O 0.079 0.753 0.323
O 0.852 0.504 0.897
O 0.455 0.915 0.761
O 0.186 0.506 0.423
O 0.545 0.084 0.239
O 0.208 0.901 0.094
O 0.792 0.099 0.905
O 0.594 0.280 0.354
O 0.684 0.370 0.138
O 0.635 0.004 0.401
O 0.366 0.991 0.599
O 0.960 0.583 0.738
O 0.805 0.493 0.579
O 0.097 0.220 0.146
O 0.044 0.416 0.260
O 0.579 0.748 0.175
O 0.414 0.715 0.649
O 0.184 0.131 0.363
O 0.903 0.262 0.680
Cu 0.024 0.676 0.619
Cu 0.966 0.331 0.376
Cu 0.503 0.500 0.497
Cu 0.001 0.000 0.000
Cu 0.541 0.840 0.879
Cu 0.465 0.167 0.123
P 0.990 0.377 0.160
P 0.990 0.344 0.592
P 0.511 0.875 0.661
P 0.492 0.155 0.910
P 0.011 0.654 0.407
P 0.492 0.123 0.339
P 0.511 0.847 0.092
P 0.009 0.622 0.841
Ca 0.001 0.000 0.498
Ca 0.504 0.502 0.006
Ca 0.535 0.454 0.736


A relaxed SiO2 crystal, computed with PBE.

a b c (Å): 22.816 13.604 12.574
angles (deg): 90.00 69.39 90.00
Element x y z (fractional)
O 0.811 0.499 0.112
O 0.224 0.632 0.011
O 0.414 0.631 0.403
O 0.675 0.184 0.229
O 0.577 0.499 0.114
O 0.844 0.313 0.114
O 0.414 0.368 0.403
O 0.086 0.161 0.991
O 0.879 0.818 0.232
O 0.879 0.180 0.232
O 0.724 0.132 0.011
O 0.086 0.868 0.597
O 0.500 0.651 0.500
O 0.880 0.818 0.617
O 0.379 0.680 0.232
O 0.920 0.999 0.241
O 0.120 0.818 0.383
O 0.825 0.684 0.771
O 0.499 0.348 0.196
O 0.621 0.680 0.768
O 0.621 0.318 0.768
O 0.000 0.151 0.500
O 0.311 0.999 0.112
O 0.501 0.650 0.804
O 0.796 0.499 0.824
O 0.175 0.684 0.229
O 0.381 0.334 0.828
O 0.656 0.185 0.886
O 0.776 0.632 0.989
O 0.379 0.318 0.232
O 0.619 0.664 0.172
O 0.705 0.366 0.862
O 0.501 0.348 0.804
O 0.586 0.661 0.991
O 0.120 0.180 0.383
O 0.881 0.164 0.828
O 0.914 0.161 0.009
O 0.121 0.818 0.768
O 0.156 0.685 0.886
O 0.079 0.999 0.444
O 0.344 0.813 0.114
O 0.205 0.132 0.862
O 0.499 0.650 0.196
O 0.189 0.499 0.888
O 0.619 0.334 0.172
O 0.325 0.814 0.771
O 0.914 0.868 0.403
O 0.620 0.318 0.383
O 0.880 0.180 0.617
O 0.795 0.866 0.138
O 0.914 0.131 0.403
O 0.276 0.132 0.989
O 0.381 0.664 0.828
O 0.423 0.499 0.886
O 0.080 0.999 0.759
O 0.675 0.814 0.229
O 0.119 0.164 0.172
O 0.380 0.680 0.617
O 0.500 0.347 0.500
O 0.689 0.999 0.888
O 0.923 0.999 0.886
O 0.414 0.338 0.009
O 0.414 0.661 0.009
O 0.001 0.848 0.804
O 0.224 0.366 0.011
O 0.295 0.366 0.138
O 0.420 0.499 0.241
O 0.119 0.834 0.172
O 0.724 0.365 0.213
O 0.224 0.865 0.213
O 0.224 0.134 0.213
O 0.344 0.185 0.114
O 0.121 0.180 0.768
O 0.705 0.632 0.862
O 0.825 0.314 0.771
O 0.724 0.634 0.213
O 0.156 0.313 0.886
O 0.276 0.634 0.787
O 0.295 0.632 0.138
O 0.776 0.865 0.787
O 0.421 0.499 0.556
O 0.586 0.338 0.991
O 0.620 0.680 0.383
O 0.204 0.499 0.176
O 0.175 0.314 0.229
O 0.704 0.999 0.176
O 0.205 0.866 0.862
O 0.276 0.866 0.989
O 0.001 0.150 0.804
O 0.795 0.132 0.138
O 0.999 0.848 0.196
O 0.325 0.184 0.771
O 0.776 0.134 0.787
O 0.844 0.685 0.114
O 0.000 0.847 0.500
O 0.276 0.365 0.787
O 0.776 0.366 0.989
O 0.086 0.131 0.597
O 0.881 0.834 0.828
O 0.724 0.866 0.011
O 0.586 0.368 0.597
O 0.999 0.150 0.196
O 0.656 0.813 0.886
O 0.580 0.499 0.759
O 0.921 0.999 0.556
O 0.579 0.499 0.444
O 0.914 0.838 0.009
O 0.586 0.631 0.597
O 0.380 0.318 0.617
O 0.296 0.999 0.824
O 0.077 0.999 0.114
O 0.086 0.838 0.991
Si 0.211 0.386 0.893
Si 0.572 0.384 0.732
Si 0.725 0.112 0.138
Si 0.857 0.197 0.123
Si 0.289 0.886 0.107
Si 0.211 0.612 0.893
Si 0.572 0.614 0.732
Si 0.159 0.801 0.249
Si 0.072 0.884 0.732
Si 0.928 0.884 0.268
Si 0.143 0.197 0.877
Si 0.841 0.197 0.751
Si 0.071 0.883 0.482
Si 0.275 0.112 0.862
Si 0.775 0.612 0.862
Si 0.341 0.697 0.751
Si 0.643 0.302 0.877
Si 0.357 0.302 0.123
Si 0.429 0.615 0.518
Si 0.428 0.614 0.268
Si 0.659 0.697 0.249
Si 0.775 0.386 0.862
Si 0.430 0.380 0.881
Si 0.072 0.114 0.732
Si 0.070 0.880 0.119
Si 0.725 0.886 0.138
Si 0.930 0.880 0.881
Si 0.928 0.115 0.268
Si 0.429 0.383 0.518
Si 0.571 0.383 0.482
Si 0.857 0.802 0.123
Si 0.930 0.118 0.881
Si 0.159 0.197 0.249
Si 0.275 0.886 0.862
Si 0.570 0.618 0.119
Si 0.841 0.801 0.751
Si 0.789 0.386 0.107
Si 0.071 0.115 0.482
Si 0.289 0.112 0.107
Si 0.570 0.380 0.119
Si 0.143 0.802 0.877
Si 0.225 0.386 0.138
Si 0.711 0.112 0.893
Si 0.357 0.697 0.123
Si 0.341 0.301 0.751
Si 0.571 0.615 0.482
Si 0.929 0.883 0.518
Si 0.428 0.384 0.268
Si 0.659 0.301 0.249
Si 0.643 0.697 0.877
Si 0.070 0.118 0.119
Si 0.929 0.115 0.518
Si 0.430 0.618 0.881
Si 0.789 0.612 0.107
Si 0.225 0.612 0.138
Si 0.711 0.886 0.893


A relaxed Ca4Al2H22CO20 crystal, computed with PBE.

a b c (Å): 5.836 8.525 9.975
angles (deg): 65.05 82.56 81.08
Element x y z (fractional)
O 0.904 0.601 0.816
O 0.755 0.409 0.086
O 0.402 0.105 0.315
O 0.642 0.716 0.427
O 0.816 0.194 0.312
O 0.079 0.385 0.197
O 0.309 0.886 0.980
O 0.348 0.288 0.582
O 0.187 0.609 0.530
O 0.568 0.431 0.708
O 0.802 0.392 0.484
O 0.070 0.931 0.204
O 0.136 0.936 0.559
O 0.851 0.784 0.085
O 0.696 0.109 0.022
O 0.338 0.557 0.954
O 0.424 0.571 0.303
O 0.930 0.063 0.800
O 0.595 0.896 0.687
O 0.153 0.208 0.922
H 0.832 0.727 0.022
H 0.984 0.003 0.252
H 0.224 0.499 0.040
H 0.178 0.259 0.988
H 0.059 0.633 0.813
H 0.696 0.786 0.739
H 0.476 0.482 0.771
H 0.442 0.862 0.688
H 0.246 0.997 0.473
H 0.290 0.212 0.270
H 0.321 0.774 0.971
H 0.811 0.296 0.453
H 0.020 0.009 0.738
H 0.693 0.213 0.040
H 0.862 0.527 0.924
H 0.656 0.769 0.495
H 0.170 0.721 0.539
H 0.489 0.503 0.998
H 0.983 0.991 0.522
H 0.558 0.145 0.312
H 0.511 0.509 0.247
H 0.341 0.236 0.513
Ca 0.521 0.115 0.808
Ca 0.480 0.884 0.196
Ca 0.015 0.620 0.314
Ca 0.978 0.377 0.697
C 0.883 0.329 0.198
Al 0.003 0.995 0.002
Al 0.495 0.502 0.507


A relaxed YSi2Ru3 crystal, computed with PBE.

a b c (Å): 3.636 5.574 5.574
angles (deg): 120.00 90.00 90.00
Element x y z (fractional)
Si 0.000 0.333 0.667
Si 0.000 0.667 0.333
Y 0.000 0.000 0.000
Ru 0.500 0.500 0.000
Ru 0.500 0.000 0.500
Ru 0.500 0.500 0.500


A relaxed SiH14C4S2N8F6 crystal, computed with PBE.

a b c (Å): 7.280 8.201 8.042
angles (deg): 87.08 86.68 59.27
Element x y z (fractional)
H 0.659 0.038 0.625
H 0.015 0.752 0.026
H 0.985 0.248 0.974
H 0.420 0.852 0.175
H 0.692 0.496 0.435
H 0.780 0.972 0.052
H 0.220 0.028 0.948
H 0.580 0.148 0.825
H 0.341 0.962 0.375
H 0.126 0.639 0.773
H 0.776 0.426 0.641
H 0.224 0.574 0.359
H 0.874 0.361 0.227
H 0.308 0.504 0.565
N 0.193 0.590 0.484
N 0.010 0.259 0.286
N 0.990 0.741 0.714
N 0.876 0.861 0.977
N 0.807 0.410 0.516
N 0.124 0.139 0.023
N 0.329 0.967 0.247
N 0.671 0.033 0.753
F 0.406 0.733 0.950
F 0.390 0.476 0.823
F 0.265 0.563 0.113
F 0.735 0.437 0.887
F 0.610 0.524 0.177
F 0.594 0.267 0.050
S 0.183 0.113 0.589
S 0.817 0.887 0.411
C 0.994 0.264 0.459
C 0.842 0.883 0.815
C 0.158 0.117 0.185
C 0.006 0.736 0.541
Si 0.500 0.500 0.000


no.,size of the total moment (Bohr magnetons per cell),total DFT energy (no corrections) (eV per atom)
1,0.00,-4.69
2,0.01,-6.51
3,0.00,-7.90
4,0.00,-5.68
5,0.02,-8.19
6,0.00,-5.87